(1)
Entry from the Materials Project: crystalline SrTiZnP2O8 at its relaxed geometry (PBE).

The structure in POSCAR format:
```
SrTiZnP2O8
1.0
-1.343 2.628 -4.725
-1.281 -6.456 -2.238
-6.815 2.424 6.225
Sr Ti Zn P O
2 2 2 4 16
Cartesian
-1.726 0.583 -4.046
-7.713 -1.987 3.308
-5.926 -0.648 -2.490
-3.513 -0.756 1.752
-5.586 1.574 0.380
-3.854 -2.979 -1.118
-3.768 -2.461 -4.357
-5.672 1.056 3.619
-2.979 0.114 -0.888
-6.461 -1.519 0.150
-6.689 0.223 4.419
-3.181 -2.808 -2.950
-6.556 -4.103 2.120
-6.541 -0.062 -0.463
-6.258 1.403 2.212
-5.767 -2.348 -1.002
-3.672 0.944 0.264
-7.849 -1.973 0.547
-2.883 2.699 -2.858
-1.590 0.569 -1.285
-2.751 -1.627 -5.157
-3.715 -4.168 0.489
-5.724 2.764 -1.227
-3.920 0.109 -2.138
-2.898 -1.343 -0.275
-5.519 -1.513 1.400
```

Computed properties:
Volume ... 12.70 A^3/atom
Electronic total energy ... -7.062 eV per atom
Space group ... No. 2
Density ... 3930 kg/m3

=====

(2)
Entry from the Materials Project: crystalline TmNiP at its relaxed geometry (PBE).

The structure in POSCAR format:
```
TmNiP
1.0
-0.984 1.529 -3.411
1.510 2.245 2.761
13.813 -2.828 -5.252
Tm Ni P
4 4 4
Cartesian
6.906 -1.414 -2.626
0.000 0.000 0.000
10.359 -2.121 -3.939
3.453 -0.707 -1.313
9.361 0.229 -2.598
4.978 0.718 -3.305
1.623 1.404 -2.029
12.715 -0.458 -3.873
2.358 1.663 0.065
11.980 -0.716 -5.967
8.433 0.010 -4.619
5.905 0.936 -1.284
```

Computed properties:
Volume ... 16.23 A^3/atom
Electronic total energy ... -6.442 eV per atom
Space group ... No. 194
Density ... 8821 kg/m3

=====

(3)
Entry from the Materials Project: crystalline NaLaNbInO6 at its relaxed geometry (PBE).

The structure in POSCAR format:
```
NaLaNbInO6
1.0
0.000 -4.106 -4.106
4.106 0.000 -4.106
4.106 -4.106 0.000
Na La Nb In O
1 1 1 1 6
Cartesian
2.053 -2.053 -2.053
6.159 -6.159 -6.159
4.106 -4.106 -4.106
0.000 0.000 0.000
2.117 -4.106 -4.106
6.095 -4.106 -4.106
4.106 -6.095 -4.106
4.106 -2.117 -4.106
4.106 -4.106 -6.095
4.106 -4.106 -2.117
```

Computed properties:
Volume ... 13.84 A^3/atom
Electronic total energy ... -7.212 eV per atom
Space group ... No. 216
Density ... 5585 kg/m3

=====

(4)
Entry from the Materials Project: crystalline SrFe2As2 at its relaxed geometry (PBE).

The structure in POSCAR format:
```
SrFe2As2
1.0
2.627 0.650 5.860
0.083 5.217 3.801
-3.772 -3.751 -3.656
Sr Fe As
1 2 2
Cartesian
0.000 0.000 0.000
-1.167 2.200 2.488
0.105 -0.084 3.517
1.754 3.797 6.254
0.956 2.069 3.408
```

Computed properties:
Volume ... 18.35 A^3/atom
Electronic total energy ... -6.124 eV per atom
Space group ... No. 139
Density ... 6320 kg/m3

=====

(5)
Entry from the Materials Project: crystalline Sr3Mo at its relaxed geometry (PBE).

The structure in POSCAR format:
```
Sr3Mo
1.0
4.627 2.981 2.376
-0.917 3.889 4.469
1.878 -1.305 5.541
Sr Mo
3 1
Cartesian
1.397 1.391 3.097
4.191 4.173 9.290
2.794 2.782 6.194
0.000 0.000 0.000
```

Computed properties:
Volume ... 38.08 A^3/atom
Electronic total energy ... -3.139 eV per atom
Space group ... No. 225
Density ... 3911 kg/m3

=====

(6)
Entry from the Materials Project: crystalline BaZrSe3 at its relaxed geometry (PBE).

The structure in POSCAR format:
```
BaZrSe3
1.0
-3.740 -1.618 0.010
1.467 -3.339 8.425
-5.518 12.790 6.030
Ba Zr Se
4 4 12
Cartesian
-2.937 -0.873 5.832
-4.854 8.705 8.633
-4.503 2.727 2.530
-3.287 5.106 11.935
-2.395 3.020 8.253
-5.396 4.813 6.212
-1.020 -0.197 1.737
-6.770 8.030 12.728
-4.373 2.473 10.064
-3.417 5.359 4.401
-7.806 10.399 8.801
0.015 -2.566 5.664
-3.505 5.584 8.067
-4.286 2.249 6.398
-5.838 10.961 5.603
-1.953 -3.128 8.863
-1.363 0.637 8.354
-6.427 7.196 6.111
-1.692 1.368 3.700
-6.098 6.464 10.766
```

Computed properties:
Volume ... 28.39 A^3/atom
Electronic total energy ... -5.828 eV per atom
Space group ... No. 62
Density ... 5444 kg/m3

=====

(7)
Entry from the Materials Project: crystalline BaLaI5 at its relaxed geometry (PBE).

The structure in POSCAR format:
```
BaLaI5
1.0
-1.022 -2.649 5.804
-7.216 3.472 -0.296
-3.677 -7.867 -7.780
Ba La I
2 2 10
Cartesian
-3.745 -3.663 1.108
-8.114 -3.427 -3.367
-5.857 -8.205 -1.288
-6.087 1.170 -0.988
-1.303 -0.934 1.057
-10.271 -3.555 -0.355
-7.061 -1.091 1.399
-6.740 -5.210 -0.254
-7.989 -5.786 -6.179
-3.960 -1.232 3.899
-5.160 -1.817 -2.000
-4.926 -5.925 -3.664
-1.656 -3.542 -1.913
-10.640 -6.100 -3.330
```

Computed properties:
Volume ... 41.38 A^3/atom
Electronic total energy ... -3.680 eV per atom
Space group ... No. 1
Density ... 5221 kg/m3

=====

(8)
Entry from the Materials Project: crystalline ZrNi5 at its relaxed geometry (PBE).

The structure in POSCAR format:
```
ZrNi5
1.0
3.718 -0.107 2.927
1.257 -4.060 2.083
3.982 -2.198 -1.311
Zr Ni
1 5
Cartesian
0.000 0.000 0.000
2.239 -1.591 0.925
4.965 -1.958 1.275
3.745 -3.919 0.857
3.614 -2.882 2.958
5.589 -3.972 2.308
```

Computed properties:
Volume ... 12.50 A^3/atom
Electronic total energy ... -6.561 eV per atom
Space group ... No. 216
Density ... 8519 kg/m3